A.
First-principles (PBE) data for a relaxed structure of Li4CuSi2O7, as listed in Materials Project.

Cell lengths 7.1364, 7.1364, 8.1540 Å; angles 93.33, 93.33, 44.88 degrees
Fractional positions:
Li  0.0966  0.4634  0.4267
Li  0.1504  0.8496  0.5000
Li  0.3985  0.7419  0.8526
Li  0.4634  0.0966  0.9267
Li  0.5431  0.8648  0.5694
Li  0.7419  0.3985  0.3526
Li  0.8496  0.1504  0.0000
Li  0.8648  0.5431  0.0694
Cu  0.2611  0.5953  0.1496
Cu  0.5953  0.2611  0.6496
Si  0.0285  0.6783  0.7766
Si  0.3113  0.9689  0.2061
Si  0.6783  0.0285  0.2766
Si  0.9689  0.3113  0.7061
O  0.0593  0.4350  0.8396
O  0.1348  0.7461  0.9275
O  0.2071  0.5725  0.6121
O  0.2293  0.9973  0.6729
O  0.3641  0.7376  0.3039
O  0.4350  0.0593  0.3396
O  0.4862  0.8501  0.0410
O  0.5725  0.2071  0.1121
O  0.7109  0.9417  0.7386
O  0.7376  0.3641  0.8039
O  0.7461  0.1348  0.4275
O  0.8501  0.4862  0.5410
O  0.9417  0.7109  0.2386
O  0.9973  0.2293  0.1729

Results
total magnetization: 2.0 Bohr magnetons per cell
space-group type: Cc (9)
V: 10.445 A^3/atom

B.
First-principles (PBE) data for a relaxed structure of Li4CuSi2O7, as listed in Materials Project.

Cell lengths 5.3059, 5.3059, 6.7884 Å; angles 99.15, 99.15, 50.29 degrees
Fractional positions:
Li  0.1465  0.1465  0.4349
Li  0.2824  0.2941  0.8553
Li  0.7059  0.7176  0.1447
Li  0.8535  0.8535  0.5651
Cu  0.9880  0.0120  0.0000
Si  0.4007  0.4482  0.2898
Si  0.5518  0.5993  0.7102
O  0.0764  0.5143  0.3448
O  0.2184  0.6822  0.7750
O  0.3178  0.7816  0.2250
O  0.4857  0.9236  0.6552
O  0.5892  0.1515  0.1127
O  0.6687  0.3313  0.5000
O  0.8485  0.4108  0.8873

Results
total magnetization: 1.0 Bohr magnetons per cell
space-group type: C2 (5)
V: 10.338 A^3/atom

Referenced to the most stable arrangement, the calculated values in eV/atom are A 0.011; B 0.000.

A.
First-principles (PBE) data for a relaxed structure of Li2CuSi4O10, as listed in Materials Project.

Cell lengths 6.8875, 7.3754, 9.6237 Å; angles 100.56, 103.01, 116.84 degrees
Fractional positions:
Li  0.1309  0.2413  0.4756
Li  0.2816  0.7987  0.9343
Li  0.7184  0.2013  0.0657
Li  0.8691  0.7587  0.5244
Cu  0.2602  0.2046  0.0699
Cu  0.7398  0.7954  0.9301
Si  0.0962  0.8331  0.2358
Si  0.2608  0.5358  0.3152
Si  0.3017  0.1126  0.7389
Si  0.4020  0.7781  0.6483
Si  0.5980  0.2219  0.3517
Si  0.6983  0.8874  0.2611
Si  0.7392  0.4642  0.6848
Si  0.9038  0.1669  0.7642
O  0.0322  0.8327  0.0642
O  0.0694  0.1300  0.6737
O  0.0728  0.6018  0.2415
O  0.1721  0.2873  0.2419
O  0.2192  0.8703  0.6265
O  0.2892  0.5659  0.4969
O  0.3568  0.0254  0.3517
O  0.3841  0.1272  0.9127
O  0.4303  0.7190  0.8007
O  0.4846  0.2972  0.6873
O  0.5154  0.7028  0.3127
O  0.5697  0.2810  0.1993
O  0.6159  0.8728  0.0873
O  0.6432  0.9746  0.6483
O  0.7108  0.4341  0.5031
O  0.7808  0.1297  0.3735
O  0.8279  0.7127  0.7581
O  0.9272  0.3982  0.7585
O  0.9306  0.8700  0.3263
O  0.9678  0.1673  0.9358

Results
total magnetization: 2.0 Bohr magnetons per cell
space-group type: P-1 (2)
V: 11.809 A^3/atom

B.
First-principles (PBE) data for a relaxed structure of Li2CuSi4O10, as listed in Materials Project.

Cell lengths 11.0402, 7.7005, 11.1271 Å; angles 90.00, 110.87, 90.00 degrees
Fractional positions:
Li  0.0422  0.2500  0.1070
Li  0.0956  0.2500  0.3954
Li  0.3694  0.2500  0.8354
Li  0.3847  0.2500  0.4460
Li  0.6153  0.7500  0.5540
Li  0.6306  0.7500  0.1646
Li  0.9044  0.7500  0.6046
Li  0.9578  0.7500  0.8930
Cu  0.2139  0.0292  0.2822
Cu  0.2139  0.4708  0.2822
Cu  0.7861  0.5292  0.7178
Cu  0.7861  0.9708  0.7178
Si  0.0850  0.0474  0.7412
Si  0.0850  0.4526  0.7412
Si  0.2373  0.5496  0.0152
Si  0.2373  0.9504  0.0152
Si  0.2619  0.5451  0.5892
Si  0.2619  0.9549  0.5892
Si  0.4691  0.0539  0.2238
Si  0.4691  0.4461  0.2238
Si  0.5309  0.5539  0.7762
Si  0.5309  0.9461  0.7762
Si  0.7381  0.0451  0.4108
Si  0.7381  0.4549  0.4108
Si  0.7627  0.0496  0.9848
Si  0.7627  0.4504  0.9848
Si  0.9150  0.5474  0.2588
Si  0.9150  0.9526  0.2588
O  0.0309  0.0703  0.2499
O  0.0309  0.4297  0.2499
O  0.0436  0.2500  0.7041
O  0.1327  0.5325  0.6286
O  0.1327  0.9675  0.6286
O  0.1662  0.0513  0.0977
O  0.1662  0.4487  0.0977
O  0.1815  0.7500  0.9813
O  0.2139  0.0497  0.8766
O  0.2139  0.4503  0.8766
O  0.2455  0.0716  0.4650
O  0.2455  0.4284  0.4650
O  0.2923  0.7500  0.5703
O  0.3836  0.0352  0.7159
O  0.3836  0.4648  0.7159
O  0.3959  0.5600  0.0924
O  0.3959  0.9400  0.0924
O  0.3996  0.0491  0.3288
O  0.3996  0.4509  0.3288
O  0.4864  0.2500  0.1746
O  0.5136  0.7500  0.8254
O  0.6004  0.5491  0.6712
O  0.6004  0.9509  0.6712
O  0.6041  0.0600  0.9076
O  0.6041  0.4400  0.9076
O  0.6164  0.5352  0.2841
O  0.6164  0.9648  0.2841
O  0.7077  0.2500  0.4297
O  0.7545  0.5716  0.5350
O  0.7545  0.9284  0.5350
O  0.7861  0.5497  0.1234
O  0.7861  0.9503  0.1234
O  0.8185  0.2500  0.0187
O  0.8338  0.5513  0.9023
O  0.8338  0.9487  0.9023
O  0.8673  0.0325  0.3714
O  0.8673  0.4675  0.3714
O  0.9564  0.7500  0.2959
O  0.9691  0.5703  0.7501
O  0.9691  0.9297  0.7501

Results
total magnetization: 4.0 Bohr magnetons per cell
space-group type: P2_1/m (11)
V: 12.999 A^3/atom

C.
First-principles (PBE) data for a relaxed structure of Li2CuSi4O10, as listed in Materials Project.

Cell lengths 10.7819, 7.7788, 10.9399 Å; angles 90.00, 111.57, 90.00 degrees
Fractional positions:
Li  0.0237  0.2500  0.4331
Li  0.1183  0.7500  0.9024
Li  0.3744  0.2500  0.3716
Li  0.4199  0.7500  0.0075
Li  0.5801  0.2500  0.9925
Li  0.6256  0.7500  0.6284
Li  0.8817  0.2500  0.0976
Li  0.9763  0.7500  0.5669
Cu  0.2233  0.0001  0.7831
Cu  0.2233  0.4999  0.7831
Cu  0.7767  0.9999  0.2169
Cu  0.7767  0.5001  0.2169
Si  0.0825  0.5488  0.2500
Si  0.0825  0.9512  0.2500
Si  0.2368  0.0541  0.0766
Si  0.2368  0.4459  0.0766
Si  0.2730  0.5432  0.5274
Si  0.2730  0.9568  0.5274
Si  0.4961  0.5624  0.2538
Si  0.4961  0.9376  0.2538
Si  0.5039  0.0624  0.7462
Si  0.5039  0.4376  0.7462
Si  0.7270  0.0432  0.4726
Si  0.7270  0.4568  0.4726
Si  0.7632  0.5541  0.9234
Si  0.7632  0.9459  0.9234
Si  0.9175  0.0488  0.7500
Si  0.9175  0.4512  0.7500
O  0.0396  0.5723  0.7554
O  0.0396  0.9277  0.7554
O  0.0552  0.7500  0.2772
O  0.1203  0.5375  0.1180
O  0.1203  0.9625  0.1180
O  0.1701  0.0210  0.5927
O  0.1701  0.4790  0.5927
O  0.1866  0.2500  0.0253
O  0.2184  0.0189  0.3721
O  0.2184  0.4811  0.3721
O  0.2662  0.5642  0.9700
O  0.2662  0.9358  0.9700
O  0.3041  0.7500  0.5402
O  0.3715  0.0774  0.2133
O  0.3715  0.4226  0.2133
O  0.4122  0.0397  0.8314
O  0.4122  0.4603  0.8314
O  0.4194  0.7500  0.2253
O  0.4227  0.0465  0.5862
O  0.4227  0.4535  0.5862
O  0.5773  0.5465  0.4138
O  0.5773  0.9535  0.4138
O  0.5806  0.2500  0.7747
O  0.5878  0.5397  0.1686
O  0.5878  0.9603  0.1686
O  0.6285  0.5774  0.7867
O  0.6285  0.9226  0.7867
O  0.6959  0.2500  0.4598
O  0.7338  0.0642  0.0300
O  0.7338  0.4358  0.0300
O  0.7816  0.5189  0.6279
O  0.7816  0.9811  0.6279
O  0.8134  0.7500  0.9747
O  0.8299  0.5210  0.4073
O  0.8299  0.9790  0.4073
O  0.8797  0.0375  0.8820
O  0.8797  0.4625  0.8820
O  0.9448  0.2500  0.7228
O  0.9604  0.0723  0.2446
O  0.9604  0.4277  0.2446

Results
total magnetization: 4.0 Bohr magnetons per cell
space-group type: P2_1/m (11)
V: 12.549 A^3/atom

Referenced to the most stable arrangement, the calculated values in eV/atom are A 0.007; B 0.000; C 0.029.